No. 1
Computed, not measured: crystalline U3Nb at its relaxed geometry at the PBE level of DFT.

Lattice parameters (Å, degrees): 5.931 5.931 5.475 90.00 90.00 120.00
Positions (direct):
U1 0.823 0.177 0.750
U2 0.354 0.177 0.750
U3 0.823 0.646 0.750
U4 0.177 0.823 0.250
U5 0.646 0.823 0.250
U6 0.177 0.354 0.250
Nb1 0.667 0.333 0.250
Nb2 0.333 0.667 0.750

Properties
Energy relative to the elements   132 kJ/mol of formula units
Space-group type   No. 194

---

No. 2
Computed, not measured: crystalline NbW at its relaxed geometry at the PBE level of DFT.

Lattice parameters (Å, degrees): 2.811 2.811 4.593 90.00 90.00 109.44
Positions (direct):
Nb1 0.000 0.000 0.000
W1 0.500 0.500 0.500

Properties
Energy relative to the elements   -8 kJ/mol of formula units
Space-group type   No. 65